Record 1
Li3MnVP3O12 | the Materials Project | PBE+U | optimized geometry; symmetry = No. 1; total energy after the MP2020 corrections = -7.592 eV/atom; energy above the lowest structure with this stoichiometry = 0.86 eV per formula unit
1.0
8.635 0.000 0.000
-0.815 8.637 0.000
-3.464 -3.739 11.572
Li Mn V P O
12 4 4 12 48
Direct
0.000 0.000 0.000
0.000 0.001 0.504
0.283 0.713 0.252
0.283 0.714 0.752
0.494 0.503 0.127
0.495 0.502 0.877
0.496 0.503 0.629
0.496 0.505 0.379
0.706 0.292 0.001
0.710 0.294 0.506
0.991 0.006 0.253
0.991 0.006 0.753
0.052 0.378 0.444
0.053 0.374 0.943
0.370 0.059 0.693
0.936 0.632 0.812
0.375 0.058 0.197
0.616 0.946 0.057
0.619 0.946 0.560
0.937 0.627 0.308
0.131 0.338 0.695
0.134 0.342 0.196
0.278 0.713 0.002
0.281 0.717 0.503
0.333 0.136 0.446
0.334 0.137 0.944
0.657 0.866 0.310
0.661 0.868 0.811
0.709 0.290 0.253
0.709 0.290 0.753
0.854 0.667 0.560
0.855 0.669 0.059
0.007 0.345 0.580
0.010 0.341 0.080
0.044 0.404 0.290
0.046 0.395 0.791
0.142 0.154 0.677
0.149 0.146 0.432
0.151 0.147 0.931
0.153 0.161 0.184
0.168 0.738 0.890
0.169 0.745 0.394
0.252 0.830 0.110
0.254 0.539 0.014
0.255 0.542 0.514
0.259 0.830 0.615
0.292 0.454 0.730
0.294 0.460 0.231
0.335 0.016 0.828
0.339 0.013 0.332
0.398 0.050 0.039
0.400 0.050 0.542
0.447 0.298 0.480
0.449 0.298 0.980
0.455 0.739 0.995
0.457 0.739 0.494
0.533 0.262 0.763
0.533 0.264 0.262
0.539 0.707 0.275
0.544 0.708 0.777
0.597 0.954 0.215
0.605 0.951 0.714
0.652 0.993 0.923
0.658 0.990 0.424
0.696 0.548 0.525
0.696 0.550 0.025
0.731 0.465 0.243
0.732 0.465 0.742
0.737 0.177 0.145
0.738 0.177 0.644
0.822 0.267 0.865
0.823 0.267 0.365
0.835 0.852 0.078
0.836 0.851 0.579
0.840 0.847 0.323
0.846 0.858 0.831
0.941 0.617 0.466
0.941 0.617 0.963
0.980 0.665 0.676
0.982 0.664 0.172

---

Record 2
Li6MnV3P6O24 | the Materials Project | PBE+U | optimized geometry; symmetry = No. 1; total energy after the MP2020 corrections = -7.643 eV/atom; energy above the lowest structure with this stoichiometry = 0.83 eV per formula unit
1.0
8.582 0.000 0.000
4.152 7.623 0.000
4.089 -2.200 14.454
Li Mn V P O
12 2 6 12 48
Direct
0.000 0.000 0.000
0.001 0.388 0.960
0.003 0.483 0.505
0.014 0.877 0.454
0.435 0.432 0.310
0.439 0.922 0.813
0.491 0.893 0.099
0.492 0.391 0.601
0.505 0.020 0.328
0.514 0.504 0.828
0.932 0.072 0.670
0.934 0.567 0.174
0.608 0.498 0.074
0.887 0.438 0.721
0.109 0.745 0.826
0.110 0.250 0.326
0.388 0.188 0.966
0.391 0.684 0.466
0.609 0.000 0.574
0.889 0.930 0.222
0.003 0.736 0.623
0.205 0.114 0.522
0.205 0.619 0.025
0.288 0.313 0.770
0.289 0.821 0.271
0.498 0.196 0.169
0.503 0.691 0.671
0.700 0.729 0.912
0.704 0.231 0.410
0.794 0.701 0.384
0.795 0.199 0.880
0.997 0.239 0.123
0.045 0.214 0.612
0.052 0.714 0.119
0.053 0.289 0.202
0.063 0.776 0.701
0.086 0.876 0.278
0.087 0.366 0.772
0.154 0.166 0.027
0.158 0.662 0.527
0.161 0.746 0.952
0.179 0.238 0.446
0.195 0.451 0.000
0.197 0.946 0.496
0.296 0.481 0.798
0.298 0.988 0.299
0.329 0.185 0.843
0.333 0.689 0.343
0.341 0.275 0.265
0.346 0.764 0.767
0.400 0.058 0.528
0.403 0.568 0.024
0.430 0.736 0.175
0.435 0.226 0.675
0.438 0.150 0.091
0.446 0.642 0.592
0.541 0.924 0.922
0.542 0.421 0.416
0.555 0.340 0.155
0.558 0.836 0.657
0.594 0.233 0.908
0.597 0.728 0.409
0.654 0.015 0.181
0.664 0.507 0.681
0.666 0.178 0.508
0.673 0.673 0.011
0.676 0.620 0.842
0.692 0.114 0.337
0.807 0.817 0.456
0.818 0.308 0.951
0.827 0.251 0.782
0.831 0.749 0.285
0.837 0.425 0.112
0.844 0.922 0.614
0.894 0.217 0.385
0.894 0.708 0.882
0.940 0.096 0.137
0.942 0.004 0.878
0.943 0.593 0.636
0.947 0.509 0.384

---

Record 3
Li3MnVP3O12 | the Materials Project | PBE+U | optimized geometry; symmetry = No. 1; total energy after the MP2020 corrections = -7.619 eV/atom; energy above the lowest structure with this stoichiometry = 0.32 eV per formula unit
1.0
8.467 0.000 0.000
-4.039 8.043 0.000
-0.260 -4.817 13.858
Li Mn V P O
12 4 4 12 48
Direct
0.000 0.000 0.000
0.007 0.292 0.207
0.033 0.992 0.299
0.440 0.297 0.036
0.468 0.999 0.127
0.478 0.294 0.335
0.498 0.004 0.500
0.511 0.294 0.707
0.537 0.001 0.797
0.939 0.294 0.535
0.965 0.999 0.625
0.979 0.297 0.834
0.013 0.709 0.093
0.217 0.104 0.492
0.461 0.583 0.239
0.966 0.589 0.740
0.263 0.196 0.841
0.520 0.711 0.594
0.715 0.101 0.992
0.759 0.191 0.342
0.151 0.401 0.044
0.209 0.390 0.398
0.219 0.402 0.688
0.262 0.902 0.642
0.264 0.900 0.936
0.323 0.892 0.289
0.658 0.399 0.545
0.714 0.396 0.898
0.715 0.397 0.189
0.756 0.893 0.435
0.761 0.895 0.144
0.827 0.898 0.791
0.014 0.338 0.417
0.063 0.420 0.736
0.118 0.244 0.590
0.125 0.737 0.657
0.131 0.726 0.860
0.141 0.572 0.070
0.163 0.875 0.226
0.167 0.961 0.578
0.169 0.342 0.936
0.218 0.052 0.933
0.228 0.394 0.295
0.248 0.891 0.038
0.252 0.233 0.400
0.306 0.950 0.397
0.312 0.343 0.752
0.313 0.419 0.107
0.332 0.720 0.262
0.342 0.560 0.474
0.352 0.567 0.670
0.358 0.056 0.742
0.420 0.886 0.597
0.459 0.952 0.915
0.492 0.246 0.565
0.494 0.044 0.270
0.519 0.343 0.917
0.554 0.411 0.235
0.619 0.242 0.089
0.620 0.719 0.360
0.627 0.728 0.158
0.645 0.568 0.570
0.667 0.881 0.728
0.671 0.340 0.436
0.671 0.958 0.081
0.712 0.047 0.434
0.732 0.405 0.795
0.734 0.880 0.538
0.760 0.245 0.901
0.805 0.334 0.252
0.812 0.956 0.899
0.823 0.422 0.608
0.836 0.725 0.764
0.846 0.570 0.974
0.849 0.564 0.175
0.856 0.050 0.244
0.922 0.882 0.098
0.948 0.944 0.416
0.981 0.249 0.064
0.998 0.049 0.770

---

Record 4
Li6MnV3P6O24 | the Materials Project | PBE+U | optimized geometry; symmetry = No. 1; total energy after the MP2020 corrections = -7.626 eV/atom; energy above the lowest structure with this stoichiometry = 1.49 eV per formula unit
1.0
8.627 0.000 0.000
-0.667 8.605 0.000
-3.510 -3.779 11.645
Li Mn V P O
12 2 6 12 48
Direct
0.000 0.000 0.000
0.000 0.000 0.499
0.283 0.714 0.249
0.283 0.719 0.751
0.292 0.705 0.001
0.293 0.709 0.498
0.573 0.423 0.248
0.578 0.425 0.751
0.788 0.211 0.373
0.788 0.212 0.625
0.789 0.213 0.124
0.789 0.213 0.875
0.231 0.337 0.308
0.914 0.655 0.058
0.232 0.332 0.805
0.346 0.089 0.444
0.346 0.091 0.945
0.666 0.771 0.193
0.667 0.770 0.695
0.908 0.656 0.554
0.002 0.999 0.249
0.002 0.999 0.749
0.150 0.373 0.555
0.155 0.373 0.058
0.425 0.051 0.692
0.428 0.048 0.192
0.573 0.425 0.499
0.576 0.429 0.000
0.624 0.852 0.942
0.627 0.850 0.443
0.949 0.574 0.807
0.949 0.580 0.306
0.025 0.175 0.740
0.025 0.883 0.138
0.028 0.174 0.239
0.029 0.884 0.641
0.116 0.969 0.357
0.116 0.972 0.858
0.130 0.556 0.569
0.132 0.554 0.820
0.133 0.569 0.321
0.144 0.557 0.072
0.239 0.312 0.460
0.241 0.310 0.962
0.275 0.373 0.670
0.278 0.371 0.173
0.299 0.052 0.578
0.301 0.052 0.079
0.338 0.111 0.787
0.343 0.099 0.288
0.439 0.872 0.922
0.444 0.869 0.429
0.445 0.867 0.677
0.447 0.864 0.173
0.459 0.449 0.388
0.460 0.455 0.891
0.545 0.541 0.607
0.547 0.540 0.108
0.552 0.250 0.509
0.554 0.252 0.007
0.584 0.168 0.726
0.585 0.167 0.226
0.627 0.725 0.328
0.628 0.724 0.829
0.675 0.767 0.037
0.687 0.762 0.537
0.743 0.009 0.976
0.744 0.008 0.477
0.749 0.450 0.490
0.752 0.453 0.990
0.826 0.976 0.758
0.827 0.978 0.259
0.831 0.416 0.772
0.836 0.419 0.273
0.884 0.666 0.210
0.889 0.663 0.713
0.944 0.703 0.420
0.951 0.699 0.923
0.992 0.257 0.521
0.994 0.259 0.023

---

Record 5
Li12Mn3V5P12O48 | the Materials Project | PBE+U | optimized geometry; symmetry = No. 1; total energy after the MP2020 corrections = -7.644 eV/atom; energy above the lowest structure with this stoichiometry = 0.00 eV per formula unit
1.0
8.652 0.000 0.000
0.004 8.688 0.000
0.055 0.381 12.397
Li Mn V P O
12 3 5 12 48
Direct
0.000 0.000 0.000
0.020 0.377 0.914
0.134 0.718 0.872
0.299 0.870 0.475
0.414 0.205 0.435
0.437 0.584 0.348
0.501 0.084 0.848
0.523 0.708 0.935
0.637 0.369 0.977
0.799 0.214 0.372
0.914 0.878 0.411
0.935 0.500 0.499
0.253 0.045 0.277
0.684 0.545 0.778
0.752 0.039 0.570
0.179 0.045 0.784
0.187 0.541 0.066
0.257 0.539 0.564
0.680 0.039 0.064
0.758 0.545 0.283
0.100 0.188 0.530
0.115 0.689 0.322
0.322 0.896 0.022
0.335 0.397 0.821
0.467 0.831 0.680
0.471 0.329 0.181
0.601 0.896 0.318
0.615 0.394 0.523
0.821 0.191 0.825
0.834 0.688 0.029
0.967 0.253 0.167
0.969 0.754 0.667
0.004 0.650 0.994
0.037 0.361 0.077
0.049 0.622 0.606
0.085 0.839 0.739
0.087 0.187 0.248
0.103 0.869 0.320
0.119 0.363 0.507
0.124 0.148 0.650
0.169 0.620 0.218
0.200 0.934 0.930
0.218 0.095 0.464
0.219 0.488 0.891
0.236 0.648 0.413
0.265 0.965 0.124
0.307 0.441 0.702
0.316 0.222 0.842
0.333 0.717 0.024
0.352 0.400 0.103
0.352 0.746 0.608
0.388 0.964 0.740
0.400 0.223 0.272
0.430 0.935 0.352
0.450 0.450 0.487
0.485 0.952 0.984
0.507 0.436 0.853
0.537 0.724 0.771
0.549 0.462 0.241
0.587 0.245 0.109
0.587 0.898 0.600
0.602 0.214 0.525
0.620 0.721 0.341
0.624 0.936 0.198
0.670 0.463 0.625
0.701 0.152 0.917
0.715 0.596 0.963
0.719 0.988 0.384
0.735 0.434 0.431
0.766 0.121 0.722
0.811 0.648 0.149
0.815 0.863 0.006
0.834 0.371 0.822
0.850 0.686 0.748
0.851 0.338 0.239
0.889 0.120 0.108
0.899 0.860 0.576
0.929 0.149 0.496
0.952 0.633 0.361
0.985 0.135 0.862